(1)
First-principles (r2SCAN) data for an optimized crystal structure of K3Na, as listed in Materials Project.

a b c (Å): 9.162 9.162 7.215
angles (deg): 90.00 90.00 120.00
Atoms (fractional coordinates):
K  0.172  0.828  0.250
K  0.172  0.343  0.250
K  0.828  0.657  0.750
K  0.657  0.828  0.250
K  0.343  0.172  0.750
K  0.828  0.172  0.750
Na  0.667  0.333  0.250
Na  0.333  0.667  0.750

Computed properties:
DFT formation energy = 0.03 eV/atom
DFT total energy = -5.38 eV per atom
Total magnetic moment = 0.00 μB per atom


(2)
First-principles (r2SCAN) data for an optimized crystal structure of FeCl3, as listed in Materials Project.

a b c (Å): 6.100 6.100 17.938
angles (deg): 90.01 89.99 120.00
Atoms (fractional coordinates):
Fe  0.333  0.667  0.000
Fe  0.333  0.667  0.333
Fe  0.000  0.000  0.000
Fe  0.333  0.667  0.667
Fe  0.667  0.333  0.667
Fe  0.667  0.333  0.333
Cl  0.307  0.974  0.924
Cl  0.000  0.640  0.743
Cl  0.027  0.333  0.924
Cl  0.358  0.358  0.409
Cl  0.360  0.360  0.743
Cl  0.640  0.000  0.743
Cl  0.640  0.640  0.257
Cl  0.027  0.693  0.076
Cl  0.000  0.360  0.257
Cl  0.641  0.642  0.591
Cl  0.358  0.000  0.591
Cl  0.641  0.000  0.409
Cl  0.360  0.000  0.257
Cl  0.000  0.642  0.409
Cl  0.307  0.333  0.076
Cl  0.000  0.359  0.591
Cl  0.667  0.973  0.076
Cl  0.667  0.693  0.924

Computed properties:
DFT formation energy = -0.99 eV/atom
DFT total energy = -9.21 eV per atom
Total magnetic moment = 1.25 μB per atom


(3)
First-principles (r2SCAN) data for an optimized crystal structure of BeCo2O4, as listed in Materials Project.

a b c (Å): 5.427 5.427 5.427
angles (deg): 60.00 90.00 120.00
Atoms (fractional coordinates):
O  0.872  0.745  0.383
O  0.378  0.755  0.378
O  0.872  0.255  0.872
O  0.378  0.245  0.378
O  0.378  0.755  0.867
O  0.867  0.245  0.378
O  0.872  0.745  0.872
O  0.383  0.255  0.872
Co  0.625  0.250  0.125
Co  0.125  0.750  0.625
Co  0.625  0.750  0.625
Co  0.625  0.250  0.625
Be  0.000  0.000  0.000
Be  0.250  0.500  0.250

Computed properties:
DFT formation energy = -1.79 eV/atom
DFT total energy = -9.61 eV per atom
Total magnetic moment = 0.00 μB per atom


(4)
First-principles (r2SCAN) data for an optimized crystal structure of Ca4In3Au10, as listed in Materials Project.

a b c (Å): 8.584 8.584 10.191
angles (deg): 90.00 90.00 107.95
Atoms (fractional coordinates):
In  0.982  0.482  0.750
In  0.018  0.518  0.250
In  0.518  0.018  0.250
In  0.482  0.982  0.750
In  0.500  0.500  0.500
In  0.000  0.000  0.000
Ca  0.696  0.304  0.000
Ca  0.304  0.696  0.000
Ca  0.804  0.196  0.500
Ca  0.196  0.804  0.500
Ca  0.197  0.197  0.702
Ca  0.697  0.697  0.798
Ca  0.803  0.803  0.298
Ca  0.303  0.303  0.202
Au  0.652  0.936  0.016
Au  0.617  0.332  0.707
Au  0.168  0.883  0.207
Au  0.599  0.599  0.096
Au  0.383  0.668  0.293
Au  0.348  0.064  0.984
Au  0.668  0.383  0.293
Au  0.064  0.348  0.984
Au  0.117  0.832  0.793
Au  0.436  0.152  0.484
Au  0.564  0.848  0.516
Au  0.848  0.564  0.516
Au  0.936  0.652  0.016
Au  0.152  0.436  0.484
Au  0.099  0.099  0.404
Au  0.832  0.117  0.793
Au  0.901  0.901  0.596
Au  0.883  0.168  0.207
Au  0.332  0.617  0.707
Au  0.401  0.401  0.904

Computed properties:
DFT formation energy = -0.67 eV/atom
DFT total energy = -36.07 eV per atom
Total magnetic moment = 0.00 μB per atom


(5)
First-principles (r2SCAN) data for an optimized crystal structure of TiGa2, as listed in Materials Project.

a b c (Å): 3.903 3.903 12.441
angles (deg): 99.05 99.05 90.00
Atoms (fractional coordinates):
Ga  0.624  0.374  0.749
Ga  0.713  0.963  0.927
Ga  0.536  0.786  0.573
Ga  0.287  0.037  0.073
Ga  0.126  0.875  0.751
Ga  0.464  0.214  0.427
Ga  0.874  0.125  0.249
Ga  0.376  0.626  0.251
Ti  0.201  0.451  0.902
Ti  0.049  0.299  0.598
Ti  0.951  0.701  0.402
Ti  0.799  0.549  0.098

Computed properties:
DFT formation energy = -0.48 eV/atom
DFT total energy = -12.42 eV per atom
Total magnetic moment = 0.00 μB per atom


(6)
First-principles (r2SCAN) data for an optimized crystal structure of Re3Ir, as listed in Materials Project.

a b c (Å): 3.882 3.882 3.882
angles (deg): 90.00 90.00 90.00
Atoms (fractional coordinates):
Re  0.000  0.500  0.500
Re  0.500  0.500  0.000
Re  0.500  0.000  0.500
Ir  0.000  0.000  0.000

Computed properties:
DFT formation energy = -0.10 eV/atom
DFT total energy = -52.50 eV per atom
Total magnetic moment = 0.00 μB per atom